A relaxed GdInO3 crystal. Source: the Materials Project database, functional r2SCAN.

Structure (POSCAR):
```
GdInO3
1.0
-5.286 2.506 -2.514
0.536 -6.312 0.643
-5.014 0.721 11.261
O In Gd
18 6 6
Direct
0.667 0.333 0.752
0.693 0.693 0.897
0.361 0.361 0.058
0.361 0.000 0.558
0.000 0.693 0.397
0.333 0.667 0.752
0.307 0.000 0.897
0.000 0.361 0.558
0.000 0.000 0.697
0.000 0.000 0.197
0.333 0.667 0.252
0.000 0.307 0.897
0.667 0.333 0.252
0.639 0.639 0.558
0.000 0.639 0.058
0.639 0.000 0.058
0.307 0.307 0.397
0.693 0.000 0.397
0.333 0.000 0.727
0.333 0.333 0.227
0.000 0.667 0.227
0.000 0.333 0.727
0.667 0.667 0.727
0.667 0.000 0.227
0.667 0.333 0.461
0.333 0.667 0.461
0.333 0.667 0.961
0.667 0.333 0.961
0.000 0.000 0.497
0.000 0.000 0.997
```

- space-group type = P6_3cm
- DFT total energy (eV per atom) = -19.58

***

A relaxed Be5Co crystal. Source: the Materials Project database, functional r2SCAN.

Structure (POSCAR):
```
Be5Co
1.0
-2.884 -2.884 0.000
-2.884 0.000 -2.884
0.000 -2.884 -2.884
Be Co
5 1
Direct
0.750 0.750 0.750
0.374 0.374 0.374
0.374 0.877 0.374
0.877 0.374 0.374
0.374 0.374 0.877
0.000 0.000 0.000
```

- space-group type = F-43m
- DFT total energy (eV per atom) = -5.97

***

A relaxed TiAu crystal. Source: the Materials Project database, functional r2SCAN.

Structure (POSCAR):
```
TiAu
1.0
3.322 0.000 0.000
0.000 3.322 0.000
0.000 0.000 6.103
Au Ti
2 2
Direct
0.250 0.250 0.640
0.750 0.750 0.360
0.750 0.750 0.864
0.250 0.250 0.136
```

- space-group type = P4/nmm
- DFT total energy (eV per atom) = -32.24

***

A relaxed VP3O9 crystal. Source: the Materials Project database, functional r2SCAN.

Structure (POSCAR):
```
VP3O9
1.0
3.230 6.607 -0.007
-3.230 6.607 -0.007
0.000 5.663 7.549
O V P
18 2 6
Direct
0.817 0.993 0.303
0.567 0.870 0.226
0.162 0.403 0.063
0.677 0.619 0.059
0.412 0.335 0.209
0.748 0.100 0.601
0.075 0.148 0.995
0.335 0.412 0.709
0.100 0.748 0.101
0.469 0.566 0.886
0.148 0.075 0.495
0.250 0.812 0.247
0.619 0.677 0.559
0.993 0.817 0.803
0.812 0.250 0.747
0.566 0.469 0.386
0.403 0.162 0.563
0.870 0.567 0.726
0.013 0.493 0.895
0.493 0.013 0.395
0.527 0.700 0.219
0.700 0.527 0.719
0.050 0.943 0.158
0.492 0.289 0.572
0.289 0.492 0.072
0.943 0.050 0.658
```

- energy above the most stable polymorph in this dataset (meV/atom) = 5.7
- space-group type = Cc

***

A relaxed Ho2Mn3Si5 crystal. Source: the Materials Project database, functional r2SCAN.

Structure (POSCAR):
```
Ho2Mn3Si5
1.0
-5.445 9.076 -0.377
-5.688 -3.749 -8.108
-3.636 -2.036 3.493
Si Ho Mn
20 8 12
Direct
0.000 0.000 0.761
0.316 0.022 0.500
0.522 0.816 0.000
0.324 0.824 0.750
0.184 0.522 0.000
0.324 0.824 0.250
0.176 0.324 0.750
0.824 0.676 0.750
0.500 0.500 0.739
0.816 0.478 0.000
0.676 0.176 0.750
0.478 0.184 0.000
0.676 0.176 0.250
0.684 0.978 0.500
0.824 0.676 0.250
0.176 0.324 0.250
0.000 0.000 0.239
0.500 0.500 0.261
0.022 0.684 0.500
0.978 0.316 0.500
0.262 0.575 0.500
0.575 0.738 0.500
0.075 0.762 0.000
0.762 0.925 0.000
0.738 0.425 0.500
0.425 0.262 0.500
0.238 0.075 0.000
0.925 0.238 0.000
0.882 0.860 0.500
0.000 0.500 0.250
0.500 0.000 0.250
0.382 0.640 0.000
0.000 0.500 0.750
0.140 0.882 0.500
0.118 0.140 0.500
0.360 0.382 0.000
0.618 0.360 0.000
0.860 0.118 0.500
0.640 0.618 0.000
0.500 0.000 0.750
```

- space-group type = P4/mnc
- DFT total energy (eV per atom) = -15.99

***

A relaxed TbAlCu2 crystal. Source: the Materials Project database, functional r2SCAN.

Structure (POSCAR):
```
TbAlCu2
1.0
0.573 -0.182 4.499
0.850 3.798 2.335
-3.163 1.722 2.762
Cu Tb Al
2 1 1
Direct
0.000 0.000 0.000
0.500 0.500 0.500
0.750 0.750 0.750
0.250 0.250 0.250
```

- space-group type = Fm-3m
- DFT total energy (eV per atom) = -15.29

***

A relaxed Mn2O3 crystal. Source: the Materials Project database, functional r2SCAN.

Structure (POSCAR):
```
Mn2O3
1.0
9.419 0.000 0.000
0.000 9.421 0.000
0.000 0.000 9.419
O Mn
48 32
Direct
0.372 0.644 0.917
0.083 0.127 0.644
0.917 0.627 0.856
0.916 0.129 0.145
0.630 0.855 0.916
0.128 0.356 0.417
0.856 0.584 0.129
0.583 0.127 0.856
0.856 0.916 0.629
0.855 0.417 0.372
0.630 0.645 0.416
0.128 0.144 0.917
0.356 0.584 0.371
0.130 0.855 0.584
0.372 0.856 0.417
0.916 0.371 0.645
0.370 0.145 0.084
0.083 0.373 0.144
0.872 0.856 0.083
0.584 0.871 0.645
0.130 0.645 0.084
0.144 0.416 0.871
0.628 0.356 0.083
0.584 0.629 0.145
0.355 0.083 0.628
0.084 0.871 0.855
0.645 0.917 0.372
0.084 0.629 0.355
0.417 0.627 0.644
0.145 0.917 0.128
0.872 0.644 0.583
0.416 0.371 0.855
0.356 0.916 0.871
0.355 0.417 0.128
0.416 0.129 0.355
0.628 0.144 0.583
0.855 0.083 0.872
0.644 0.416 0.629
0.644 0.084 0.129
0.870 0.355 0.916
0.417 0.873 0.144
0.917 0.873 0.356
0.370 0.355 0.584
0.645 0.583 0.872
0.145 0.583 0.628
0.144 0.084 0.371
0.870 0.145 0.416
0.583 0.373 0.356
0.000 0.500 0.000
0.750 0.715 0.000
0.501 0.751 0.285
0.215 0.999 0.749
0.499 0.251 0.215
0.001 0.751 0.215
0.750 0.285 0.500
0.215 0.501 0.249
0.750 0.215 0.000
0.285 0.001 0.249
0.000 0.000 0.000
0.715 0.501 0.251
0.785 0.001 0.251
0.250 0.785 0.000
0.250 0.215 0.500
0.500 0.500 0.000
0.001 0.749 0.715
0.500 0.000 0.000
0.250 0.715 0.500
0.785 0.499 0.751
0.285 0.499 0.749
0.501 0.749 0.785
0.500 0.000 0.500
0.000 0.000 0.500
0.000 0.500 0.500
0.715 0.999 0.751
0.499 0.249 0.715
0.250 0.285 0.000
0.750 0.785 0.500
0.999 0.251 0.285
0.999 0.249 0.785
0.500 0.500 0.500
```

- space-group type = Pbca
- DFT total energy (eV per atom) = -11.60

***

A relaxed ThSe3 crystal. Source: the Materials Project database, functional r2SCAN.

Structure (POSCAR):
```
ThSe3
1.0
0.000 -4.252 0.000
-5.801 0.000 0.012
-1.211 0.000 -9.780
Th Se
2 6
Direct
0.750 0.281 0.345
0.250 0.719 0.655
0.750 0.762 0.440
0.250 0.523 0.171
0.750 0.884 0.833
0.250 0.116 0.167
0.250 0.238 0.560
0.750 0.477 0.829
```

- space-group type = P2_1/m
- DFT total energy (eV per atom) = -30.69

***

A relaxed Nd3Cu3Sb4 crystal. Source: the Materials Project database, functional r2SCAN.

Structure (POSCAR):
```
Nd3Cu3Sb4
1.0
-4.854 -6.128 -3.196
2.027 -1.887 7.978
-4.219 7.314 -0.178
Cu Sb Nd
6 8 6
Direct
0.625 0.750 0.375
0.750 0.375 0.625
0.375 0.625 0.750
0.125 0.875 0.250
0.875 0.250 0.125
0.250 0.125 0.875
0.843 0.500 0.000
0.000 0.843 0.500
0.500 0.000 0.343
0.000 0.343 0.500
0.343 0.500 0.000
0.157 0.157 0.157
0.500 0.000 0.843
0.657 0.657 0.657
0.375 0.250 0.625
0.875 0.125 0.750
0.625 0.375 0.250
0.125 0.750 0.875
0.250 0.625 0.375
0.750 0.875 0.125
```

- space-group type = I-43d
- DFT total energy (eV per atom) = -23.24

***

A relaxed TePtSe crystal. Source: the Materials Project database, functional r2SCAN.

Structure (POSCAR):
```
TePtSe
1.0
-3.250 -0.575 2.092
3.166 -2.192 0.665
1.698 3.550 3.613
Te Pt Se
1 1 1
Direct
0.000 0.000 0.253
0.333 0.667 0.992
0.667 0.333 0.755
```

- space-group type = P3m1
- DFT total energy (eV per atom) = -30.84

***

A relaxed Ca2Al2SiH2O8 crystal. Source: the Materials Project database, functional r2SCAN.

Structure (POSCAR):
```
Ca2Al2SiH2O8
1.0
-4.420 4.420 4.387
4.420 -4.420 4.387
4.420 4.420 -4.387
H Al Ca O Si
4 4 4 16 2
Direct
0.974 0.974 0.628
0.026 0.654 0.000
0.654 0.026 0.000
0.346 0.346 0.372
0.500 0.753 0.253
0.500 0.247 0.747
0.753 0.500 0.253
0.247 0.500 0.747
0.712 0.712 0.716
0.003 0.288 0.000
0.288 0.003 0.000
0.997 0.997 0.284
0.726 0.726 0.295
0.767 0.998 0.000
0.431 0.431 0.705
0.566 0.014 0.292
0.274 0.569 0.000
0.014 0.566 0.292
0.569 0.274 0.000
0.726 0.434 0.448
0.233 0.233 0.231
0.434 0.726 0.448
0.002 0.002 0.769
0.998 0.767 0.000
0.278 0.986 0.552
0.274 0.722 0.708
0.986 0.278 0.552
0.722 0.274 0.708
0.750 0.250 0.500
0.250 0.750 0.500
```

- space-group type = I-42m
- DFT total energy (eV per atom) = -8.97

***

A relaxed NdCu2O4 crystal. Source: the Materials Project database, functional r2SCAN.

Structure (POSCAR):
```
NdCu2O4
1.0
5.149 0.051 -2.548
-1.470 4.993 -2.619
-0.017 -0.031 6.315
O Nd Cu
8 2 4
Direct
0.854 0.174 0.146
0.810 0.704 0.348
0.537 0.143 0.348
0.190 0.296 0.652
0.708 0.528 0.854
0.463 0.857 0.652
0.292 0.472 0.146
0.146 0.826 0.854
0.125 0.875 0.251
0.875 0.125 0.749
0.500 0.500 0.500
0.500 0.000 0.000
0.000 0.500 0.500
0.500 0.500 0.000
```

- space-group type = C2/c
- DFT total energy (eV per atom) = -12.59

***

no.,total magnetic moment (μB per cell)
1,42.00
2,0.00
3,0.00
4,4.00
5,6.21
6,0.00
7,128.00
8,0.00
9,0.00
10,0.00
11,0.00
12,1.99